Record 1
# Na6YTa3Si6O24

An optimized crystal structure of Na6YTa3Si6O24 (PBE-GGA, the Materials Project database).

Structure (POSCAR):
```
Na6YTa3Si6O24
1.0
-14.463 5.179 3.910
1.154 -3.190 8.470
7.730 4.881 0.775
Si O Na Ta Y
12 48 12 6 2
Direct
0.998 0.040 0.260
0.353 0.898 0.759
0.495 0.453 0.737
0.498 0.540 0.260
0.146 0.618 0.245
0.148 0.397 0.747
0.995 0.953 0.737
0.646 0.118 0.245
0.360 0.099 0.251
0.853 0.398 0.759
0.648 0.897 0.747
0.860 0.599 0.251
0.415 0.360 0.762
0.743 0.805 0.764
0.927 0.059 0.559
0.949 0.335 0.945
0.159 0.572 0.719
0.776 0.688 0.261
0.245 0.846 0.731
0.081 0.050 0.902
0.276 0.188 0.261
0.915 0.860 0.762
0.934 0.926 0.084
0.449 0.835 0.945
0.427 0.559 0.559
0.659 0.072 0.719
0.648 0.888 0.923
0.909 0.139 0.256
0.245 0.692 0.257
0.581 0.646 0.267
0.563 0.325 0.717
0.852 0.580 0.757
0.862 0.347 0.592
0.581 0.550 0.902
0.355 0.919 0.262
0.476 0.146 0.420
0.158 0.442 0.259
0.352 0.080 0.757
0.081 0.146 0.267
0.857 0.637 0.070
0.434 0.426 0.084
0.745 0.346 0.731
0.362 0.847 0.592
0.647 0.181 0.412
0.409 0.639 0.256
0.552 0.434 0.434
0.037 0.325 0.573
0.037 0.675 0.061
0.537 0.825 0.573
0.063 0.825 0.717
0.745 0.192 0.257
0.147 0.681 0.412
0.243 0.305 0.764
0.357 0.137 0.070
0.976 0.646 0.420
0.052 0.934 0.434
0.148 0.388 0.923
0.855 0.419 0.262
0.658 0.942 0.259
0.537 0.175 0.061
0.007 0.602 0.763
0.249 0.250 0.494
0.301 0.437 0.228
0.507 0.102 0.763
0.753 0.250 0.000
0.253 0.750 0.000
0.685 0.566 0.785
0.501 0.880 0.245
0.185 0.066 0.785
0.749 0.750 0.494
0.801 0.937 0.228
0.001 0.380 0.245
0.107 0.748 0.561
0.607 0.248 0.561
0.892 0.251 0.437
0.392 0.751 0.437
0.396 0.256 0.933
0.896 0.756 0.933
0.103 0.238 0.065
0.603 0.738 0.065
```

Computed properties:
**V**: 13.58 Å³ per atom
**Formation energy from the elements**: -3.105 eV/atom
**E**: -7.7247 eV per atom

Record 2
# Na4YTaSi3O12

An optimized crystal structure of Na4YTaSi3O12 (PBE-GGA, the Materials Project database).

Structure (POSCAR):
```
Na4YTaSi3O12
1.0
-1.766 -5.542 -7.319
3.565 -3.617 7.849
-20.868 -3.649 7.797
Na O Si Y Ta
24 72 18 6 6
Direct
0.308 0.961 0.080
0.372 0.014 0.747
0.986 0.628 0.247
0.653 0.961 0.580
0.308 0.347 0.580
0.667 0.333 0.329
0.706 0.025 0.914
0.667 0.333 0.829
0.706 0.681 0.414
0.000 0.000 0.996
0.642 0.628 0.747
0.986 0.358 0.747
0.642 0.014 0.247
0.975 0.294 0.414
0.319 0.294 0.914
0.333 0.667 0.662
0.000 0.000 0.496
0.039 0.692 0.580
0.372 0.358 0.247
0.975 0.681 0.914
0.333 0.667 0.162
0.319 0.025 0.414
0.039 0.347 0.080
0.653 0.692 0.080
0.469 0.112 0.644
0.311 0.865 0.977
0.856 0.336 0.246
0.888 0.356 0.644
0.031 0.836 0.694
0.814 0.811 0.912
0.498 0.636 0.860
0.802 0.023 0.810
0.189 0.186 0.412
0.472 0.169 0.527
0.831 0.528 0.027
0.188 0.706 0.755
0.855 0.815 0.588
0.221 0.023 0.310
0.960 0.145 0.588
0.805 0.836 0.194
0.221 0.198 0.810
0.518 0.706 0.255
0.331 0.853 0.579
0.851 0.373 0.922
0.164 0.195 0.694
0.802 0.779 0.310
0.031 0.195 0.194
0.960 0.815 0.088
0.188 0.482 0.255
0.189 0.003 0.912
0.644 0.112 0.144
0.185 0.145 0.088
0.294 0.812 0.255
0.554 0.865 0.477
0.522 0.373 0.422
0.138 0.502 0.860
0.664 0.144 0.746
0.997 0.186 0.912
0.627 0.478 0.922
0.498 0.862 0.360
0.331 0.478 0.079
0.831 0.303 0.527
0.480 0.144 0.246
0.851 0.478 0.422
0.311 0.446 0.477
0.138 0.636 0.360
0.522 0.149 0.922
0.364 0.502 0.360
0.185 0.040 0.588
0.135 0.689 0.477
0.518 0.812 0.755
0.814 0.003 0.412
0.480 0.336 0.746
0.977 0.198 0.310
0.472 0.303 0.027
0.164 0.969 0.194
0.294 0.482 0.755
0.522 0.669 0.579
0.888 0.531 0.144
0.135 0.446 0.977
0.977 0.779 0.810
0.805 0.969 0.694
0.997 0.811 0.412
0.664 0.520 0.246
0.147 0.669 0.079
0.147 0.478 0.579
0.856 0.520 0.746
0.554 0.689 0.977
0.522 0.853 0.079
0.469 0.356 0.144
0.855 0.040 0.088
0.697 0.169 0.027
0.697 0.528 0.527
0.644 0.531 0.644
0.364 0.862 0.860
0.627 0.149 0.422
0.697 0.990 0.751
0.364 0.040 0.584
0.697 0.707 0.251
0.676 0.040 0.084
0.343 0.969 0.918
0.293 0.303 0.751
0.364 0.324 0.084
0.960 0.324 0.584
0.010 0.707 0.751
0.031 0.657 0.418
0.676 0.636 0.584
0.960 0.636 0.084
0.010 0.303 0.251
0.293 0.990 0.251
0.627 0.969 0.418
0.031 0.373 0.918
0.343 0.373 0.418
0.627 0.657 0.918
0.333 0.667 0.516
0.667 0.333 0.182
0.667 0.333 0.682
0.000 0.000 0.349
0.000 0.000 0.849
0.333 0.667 0.016
0.667 0.333 0.481
0.333 0.667 0.814
0.000 0.000 0.147
0.667 0.333 0.981
0.000 0.000 0.647
0.333 0.667 0.314
```

Computed properties:
**V**: 13.56 Å³ per atom
**Formation energy from the elements**: -3.032 eV/atom
**E**: -7.3661 eV per atom

Record 3
# Na14Y3Ta5Si12O48

An optimized crystal structure of Na14Y3Ta5Si12O48 (PBE-GGA, the Materials Project database).

Structure (POSCAR):
```
Na14Y3Ta5Si12O48
1.0
-8.149 3.040 16.345
-4.343 -4.981 -6.471
9.392 -18.844 8.220
O Na Si Y Ta
144 42 36 9 15
Direct
0.750 0.864 0.360
0.168 0.484 0.076
0.082 0.199 0.691
0.570 0.498 0.861
0.402 0.835 0.194
0.574 0.483 0.579
0.089 0.180 0.403
0.923 0.494 0.422
0.088 0.170 0.805
0.758 0.852 0.078
0.594 0.483 0.255
0.167 0.851 0.579
0.844 0.533 0.253
0.818 0.149 0.422
0.407 0.000 0.413
0.444 0.530 0.144
0.787 0.717 0.974
0.902 0.967 0.692
0.570 0.638 0.361
0.649 0.814 0.255
0.088 0.997 0.903
0.943 0.359 0.646
0.669 0.484 0.077
0.091 0.475 0.258
0.761 0.816 0.757
0.495 0.823 0.805
0.426 0.037 0.089
0.926 0.036 0.089
0.574 0.664 0.077
0.821 0.526 0.645
0.913 0.817 0.308
0.146 0.477 0.757
0.145 0.815 0.257
0.588 0.996 0.903
0.681 0.860 0.861
0.915 0.306 0.529
0.401 0.777 0.310
0.481 0.148 0.589
0.756 0.149 0.921
0.998 0.820 0.404
0.348 0.166 0.026
0.083 0.967 0.191
0.849 0.166 0.026
0.908 0.828 0.903
0.017 0.835 0.691
0.995 0.168 0.305
0.647 0.477 0.757
0.517 0.836 0.691
0.233 0.312 0.753
0.995 0.823 0.805
0.902 0.836 0.193
0.017 0.198 0.191
0.344 0.154 0.753
0.499 0.815 0.413
0.423 0.534 0.752
0.258 0.850 0.077
0.318 0.105 0.144
0.064 0.704 0.478
0.276 0.858 0.477
0.593 0.149 0.089
0.149 0.869 0.977
0.425 0.813 0.589
0.074 0.664 0.077
0.927 0.814 0.589
0.093 0.038 0.589
0.066 0.426 0.977
0.233 0.360 0.144
0.443 0.361 0.645
0.287 0.717 0.974
0.257 0.368 0.422
0.909 0.990 0.403
0.251 0.859 0.360
0.320 0.526 0.644
0.948 0.532 0.145
0.998 0.176 0.904
0.566 0.427 0.977
0.415 0.303 0.527
0.849 0.529 0.527
0.332 0.518 0.246
0.257 0.704 0.254
0.981 0.813 0.088
0.348 0.529 0.527
0.788 0.862 0.475
0.751 0.641 0.860
0.498 0.176 0.904
0.073 0.482 0.580
0.923 0.313 0.252
0.069 0.642 0.360
0.148 0.426 0.478
0.759 0.367 0.422
0.583 0.199 0.691
0.823 0.494 0.922
0.592 0.707 0.758
0.422 0.348 0.921
0.738 0.304 0.029
0.088 0.005 0.305
0.318 0.152 0.423
0.070 0.498 0.861
0.611 0.025 0.310
0.425 0.481 0.422
0.588 0.170 0.805
0.516 0.197 0.193
0.237 0.172 0.530
0.257 0.663 0.578
0.592 0.184 0.413
0.821 0.114 0.143
0.426 0.334 0.246
0.093 0.148 0.088
0.238 0.303 0.028
0.738 0.116 0.644
0.914 0.523 0.029
0.323 0.493 0.922
0.402 0.967 0.692
0.669 0.856 0.579
0.570 0.694 0.476
0.583 0.969 0.194
0.736 0.169 0.527
0.649 0.869 0.977
0.594 0.040 0.589
0.922 0.349 0.921
0.251 0.641 0.860
0.236 0.111 0.646
0.488 0.199 0.310
0.656 0.447 0.477
0.923 0.535 0.753
0.913 0.008 0.807
0.740 0.149 0.246
0.481 0.815 0.088
0.414 0.523 0.028
0.261 0.817 0.757
0.682 0.501 0.361
0.760 0.667 0.581
0.092 0.707 0.758
0.233 0.151 0.252
0.413 0.008 0.807
0.732 0.312 0.753
0.256 0.149 0.921
0.763 0.707 0.258
0.843 0.153 0.753
0.181 0.860 0.861
0.181 0.502 0.361
0.736 0.363 0.145
0.980 0.147 0.589
0.408 0.828 0.903
0.995 0.621 0.247
0.519 0.691 0.580
0.167 0.667 0.660
0.167 0.667 0.160
0.495 0.367 0.748
0.827 0.962 0.581
0.995 0.368 0.748
0.833 0.341 0.835
0.505 0.000 0.998
0.348 0.027 0.919
0.519 0.347 0.079
0.019 0.347 0.079
0.006 0.011 0.497
0.826 0.692 0.080
0.316 0.623 0.747
0.352 0.679 0.415
0.325 0.958 0.579
0.333 0.341 0.835
0.499 0.000 0.494
0.849 0.672 0.417
0.666 0.667 0.160
0.020 0.693 0.580
0.654 0.960 0.080
0.687 0.360 0.248
0.155 0.961 0.079
0.006 0.000 0.998
0.320 0.013 0.248
0.689 0.009 0.747
0.836 0.330 0.331
0.660 0.027 0.414
0.486 0.293 0.415
0.817 0.010 0.246
0.330 0.328 0.331
0.155 0.348 0.580
0.666 0.666 0.661
0.654 0.347 0.580
0.326 0.692 0.080
0.848 0.027 0.919
0.189 0.010 0.747
0.492 0.628 0.247
0.188 0.366 0.245
0.816 0.623 0.748
0.317 0.664 0.916
0.667 0.970 0.917
0.354 0.990 0.752
0.504 0.302 0.251
0.505 0.718 0.751
0.515 0.366 0.916
0.981 0.632 0.084
0.979 0.327 0.586
0.184 0.039 0.586
0.167 0.970 0.917
0.837 0.632 0.585
0.836 0.040 0.083
0.015 0.366 0.916
0.480 0.328 0.585
0.348 0.706 0.251
0.817 0.665 0.916
0.670 0.371 0.418
0.336 0.038 0.083
0.313 0.968 0.418
0.004 0.291 0.251
0.817 0.969 0.415
0.855 0.717 0.252
0.515 0.659 0.418
0.141 0.990 0.251
0.141 0.292 0.751
0.480 0.632 0.084
0.641 0.292 0.751
0.016 0.666 0.416
0.167 0.366 0.417
0.183 0.328 0.084
0.005 0.718 0.751
0.647 0.993 0.251
0.335 0.631 0.584
0.685 0.328 0.085
0.854 0.990 0.752
0.685 0.044 0.585
0.665 0.664 0.011
0.162 0.660 0.512
0.333 0.333 0.687
0.165 0.664 0.010
0.833 0.333 0.688
0.670 0.672 0.515
0.499 0.999 0.349
0.332 0.331 0.183
0.835 0.336 0.185
0.330 0.328 0.480
0.166 0.665 0.816
0.834 0.337 0.979
0.000 0.000 0.646
0.500 0.000 0.147
0.002 0.004 0.354
0.502 0.000 0.854
0.666 0.666 0.314
0.500 0.000 0.645
0.000 0.000 0.145
0.002 0.000 0.854
0.167 0.668 0.316
0.837 0.335 0.480
0.666 0.665 0.816
0.334 0.337 0.979
```

Computed properties:
**V**: 13.63 Å³ per atom
**Formation energy from the elements**: -3.065 eV/atom
**SG**: P1 (1)
**E**: -7.5388 eV per atom

> Look up the formation energy from the elements of the second one.

-3.032 eV/atom